Record 1
# CaY2ZrO6

CaY2ZrO6 after structural relaxation (r2SCAN, the Materials Project).

Computed properties:
The total DFT energy (no corrections) is -135.74 eV per cell. Its space group is Fm-3m. The magnetization comes out at 0.0 μB/f.u.

a b c (Å): 5.8579 5.8579 5.8579
angles (deg): 60.00 60.00 60.00
Closest atoms and distances in Å follow each position.
Sites, in units of the cell vectors:
Ca: 0.0000 0.0000 0.0000  6 O 2.12
Y: 0.2500 0.2500 0.2500  12 O 2.93
Y: 0.7500 0.7500 0.7500  12 O 2.93
Zr: 0.5000 0.5000 0.5000  6 O 2.02
O: 0.2562 0.2562 0.7438  1 Zr 2.02, 1 Ca 2.12
O: 0.2562 0.7438 0.2562  1 Zr 2.02, 1 Ca 2.12
O: 0.2562 0.7438 0.7438  1 Zr 2.02, 1 Ca 2.12
O: 0.7438 0.2562 0.2562  1 Zr 2.02, 1 Ca 2.12
O: 0.7438 0.2562 0.7438  1 Zr 2.02, 1 Ca 2.12
O: 0.7438 0.7438 0.2562  1 Zr 2.02, 1 Ca 2.12

---

Record 2
# CaP

CaP after structural relaxation (r2SCAN, the Materials Project).

Computed properties:
The total DFT energy (no corrections) is -111.32 eV per cell. Its space group is P-62m. The magnetization comes out at 0.0 μB/f.u.

a b c (Å): 7.6536 7.6536 5.7215
angles (deg): 90.00 90.00 120.00
Closest atoms and distances in Å follow each position.
Sites, in units of the cell vectors:
Ca: 0.0000 0.3082 0.0000  6 P 2.89-2.93
Ca: 0.0000 0.6426 0.5000  6 P 2.95-3.00
Ca: 0.3082 0.0000 0.0000  6 P 2.89-2.93
Ca: 0.3574 0.3574 0.5000  6 P 2.95-3.00
Ca: 0.6426 0.0000 0.5000  6 P 2.95-3.00
Ca: 0.6918 0.6918 0.0000  6 P 2.89-2.93
P: 0.0000 0.0000 0.3047  1 P 2.23
P: 0.0000 0.0000 0.6953  1 P 2.23
P: 0.3333 0.6667 0.2004  1 P 2.29
P: 0.3333 0.6667 0.7996  1 P 2.29
P: 0.6667 0.3333 0.2004  1 P 2.29
P: 0.6667 0.3333 0.7996  1 P 2.29

---

Record 3
# Ca5P6Pd6

Ca5P6Pd6 after structural relaxation (r2SCAN, the Materials Project).

Computed properties:
The total DFT energy (no corrections) is -490.20 eV per cell. Its space group is Pmma. The magnetization comes out at 0.0 μB/f.u.

a b c (Å): 8.2305 4.0865 19.0877
angles (deg): 90.00 90.00 90.00
Closest atoms and distances in Å follow each position.
Sites, in units of the cell vectors:
Ca: 0.0000 0.0000 0.0000  6 Pd 3.09-3.17, 6 P 3.10-3.18
Ca: 0.0017 0.0000 0.3703  6 P 3.09-3.20, 8 Pd 3.14-3.23
Ca: 0.0083 0.5000 0.1823  5 Pd 3.05-3.11, 7 P 3.10-3.16
Ca: 0.4917 0.5000 0.1823  5 Pd 3.05-3.11, 7 P 3.10-3.16
Ca: 0.4983 0.0000 0.3703  6 P 3.09-3.20, 8 Pd 3.14-3.23
Ca: 0.5000 0.0000 0.0000  6 Pd 3.09-3.17, 6 P 3.10-3.18
Ca: 0.5017 0.0000 0.6297  6 P 3.09-3.20, 8 Pd 3.14-3.23
Ca: 0.5083 0.5000 0.8177  5 Pd 3.05-3.11, 7 P 3.10-3.16
Ca: 0.9917 0.5000 0.8177  5 Pd 3.05-3.11, 7 P 3.10-3.16
Ca: 0.9983 0.0000 0.6297  6 P 3.09-3.20, 8 Pd 3.14-3.23
P: 0.2500 0.0000 0.2454  3 Pd 2.35-2.38
P: 0.2500 0.0000 0.7577  1 P 2.20, 2 Pd 2.33
P: 0.2500 0.0000 0.8732  1 P 2.20, 2 Pd 2.34
P: 0.2500 0.5000 0.0579  3 Pd 2.37-2.39
P: 0.2500 0.5000 0.4282  5 Pd 2.32-2.47
P: 0.2500 0.5000 0.5753  5 Pd 2.35-2.51
P: 0.7500 0.0000 0.1268  1 P 2.20, 2 Pd 2.34
P: 0.7500 0.0000 0.2423  1 P 2.20, 2 Pd 2.33
P: 0.7500 0.0000 0.7546  3 Pd 2.35-2.38
P: 0.7500 0.5000 0.4247  5 Pd 2.35-2.51
P: 0.7500 0.5000 0.5718  5 Pd 2.32-2.47
P: 0.7500 0.5000 0.9421  3 Pd 2.37-2.39
Pd: 0.0000 0.5000 0.5000  4 P 2.47-2.51
Pd: 0.2500 0.0000 0.1206  3 P 2.37-2.38
Pd: 0.2500 0.0000 0.5013  4 P 2.47-2.48
Pd: 0.2500 0.5000 0.3065  3 P 2.32-2.35
Pd: 0.2500 0.5000 0.6986  3 P 2.33-2.35
Pd: 0.2500 0.5000 0.9325  3 P 2.34-2.39
Pd: 0.5000 0.5000 0.5000  4 P 2.47-2.51
Pd: 0.7500 0.0000 0.4987  4 P 2.47-2.48
Pd: 0.7500 0.0000 0.8794  3 P 2.37-2.38
Pd: 0.7500 0.5000 0.0675  3 P 2.34-2.39
Pd: 0.7500 0.5000 0.3014  3 P 2.33-2.35
Pd: 0.7500 0.5000 0.6935  3 P 2.32-2.35

---

Record 4
# CaPPt

CaPPt after structural relaxation (r2SCAN, the Materials Project).

Computed properties:
The total DFT energy (no corrections) is -285.49 eV per cell. Its space group is Pmc2_1. The magnetization comes out at 0.0 μB/f.u.

a b c (Å): 4.3697 8.3220 6.5314
angles (deg): 90.00 90.00 90.00
Closest atoms and distances in Å follow each position.
Sites, in units of the cell vectors:
Ca: 0.0000 0.0879 0.0000  4 P 3.01-3.02, 6 Pt 3.02-3.23
Ca: 0.0000 0.3726 0.4368  6 P 2.99-3.15, 4 Pt 3.26-3.27
Ca: 0.0000 0.6274 0.9368  6 P 2.99-3.15, 4 Pt 3.26-3.27
Ca: 0.0000 0.9121 0.5000  4 P 3.01-3.02, 6 Pt 3.02-3.23
P: 0.5000 0.1160 0.3177  3 Pt 2.43-2.44
P: 0.5000 0.4284 0.7410  3 Pt 2.28-2.29
P: 0.5000 0.5716 0.2410  3 Pt 2.28-2.29
P: 0.5000 0.8840 0.8177  3 Pt 2.43-2.44
Pt: 0.5000 0.1578 0.6861  3 P 2.28-2.44
Pt: 0.5000 0.3320 0.0679  3 P 2.28-2.43
Pt: 0.5000 0.6680 0.5679  3 P 2.28-2.43
Pt: 0.5000 0.8422 0.1861  3 P 2.28-2.44